[1]
Entry from Materials Project: crystalline Sc2Si3 at its relaxed geometry (PBE-GGA).

The structure belongs to space group Amm2 (No. 38); the cell edges are 6.4046, 4.0826 and 7.0582 Å and the angles 90.00°, 90.00° and 90.00°. The inequivalent atoms are Sc at (0.2362, 0.0000, 0.0000), Si at (0.0000, 0.0000, 0.3334), Si at (0.5000, 0.0000, 0.3331) and Si at (0.5000, 0.0000, 0.6666).

The value obtained for the final energy is -6.1810 eV per atom. The calculation puts the total magnetic moment at 0.000 μB per formula unit. Its energy with MP2020 corrections is -6.138 eV per atom. For the formation energy, the calculation gives -0.350 eV/atom.

---

[2]
Entry from Materials Project: crystalline Sc5Si3 at its relaxed geometry (PBE-GGA).

The structure belongs to space group P6_3/mcm (No. 193); the cell edges are 8.3779, 8.3779 and 5.5574 Å and the angles 90.00°, 90.00° and 120.00°. The inequivalent atoms are Sc at (0.0000, 0.2515, 0.2500), Sc at (0.3333, 0.6667, 0.2500) and Si at (0.0000, 0.3743, 0.7500).

The value obtained for the energy above the most stable polymorph in this dataset is 478 meV/atom. The value obtained for the final energy is -6.2822 eV per atom. The calculation puts the total magnetic moment at 1.026 μB per formula unit. Its energy with MP2020 corrections is -6.256 eV per atom. For the formation energy, the calculation gives -0.263 eV/atom.